# ZnS

Crystalline ZnS at its relaxed geometry (PBE-GGA, Materials Project).

Properties
Its formation energy from the elements is -2.1 eV/f.u. Its total energy is -126.31 eV per cell.

Geometry as CIF:
```
data_ZnS
_space_group_name_H-M_alt 'P 3 m 1'
_space_group_IT_number 156
_cell_length_a 3.8540
_cell_length_b 3.8540
_cell_length_c 56.6894
_cell_angle_alpha 90.00
_cell_angle_beta 90.00
_cell_angle_gamma 120.00
loop_
_space_group_symop_operation_xyz
'x,y,z'
'-y,x-y,z'
'-x+y,-x,z'
'-y,-x,z'
'-x+y,y,z'
'x,x-y,z'
loop_
_atom_site_label
_atom_site_type_symbol
_atom_site_fract_x
_atom_site_fract_y
_atom_site_fract_z
_atom_site_occupancy
Zn1 Zn 0.0000 0.0000 0.0000 1
Zn2 Zn 0.0000 0.0000 0.1111 1
Zn3 Zn 0.0000 0.0000 0.2778 1
Zn4 Zn 0.0000 0.0000 0.3889 1
Zn5 Zn 0.0000 0.0000 0.5556 1
Zn6 Zn 0.0000 0.0000 0.7222 1
Zn7 Zn 0.0000 0.0000 0.8334 1
Zn8 Zn 0.3333 0.6667 0.0556 1
Zn9 Zn 0.3333 0.6667 0.2222 1
Zn10 Zn 0.3333 0.6667 0.4444 1
Zn11 Zn 0.3333 0.6667 0.6667 1
Zn12 Zn 0.3333 0.6667 0.8889 1
Zn13 Zn 0.6667 0.3333 0.1667 1
Zn14 Zn 0.6667 0.3333 0.3333 1
Zn15 Zn 0.6667 0.3333 0.5000 1
Zn16 Zn 0.6667 0.3333 0.6111 1
Zn17 Zn 0.6667 0.3333 0.7778 1
Zn18 Zn 0.6667 0.3333 0.9445 1
S1 S 0.0000 0.0000 0.0416 1
S2 S 0.0000 0.0000 0.1528 1
S3 S 0.0000 0.0000 0.3194 1
S4 S 0.0000 0.0000 0.4306 1
S5 S 0.0000 0.0000 0.5973 1
S6 S 0.0000 0.0000 0.7639 1
S7 S 0.0000 0.0000 0.8750 1
S8 S 0.3333 0.6667 0.0973 1
S9 S 0.3333 0.6667 0.2639 1
S10 S 0.3333 0.6667 0.4861 1
S11 S 0.3333 0.6667 0.7083 1
S12 S 0.3333 0.6667 0.9306 1
S13 S 0.6667 0.3333 0.2083 1
S14 S 0.6667 0.3333 0.3750 1
S15 S 0.6667 0.3333 0.5416 1
S16 S 0.6667 0.3333 0.6528 1
S17 S 0.6667 0.3333 0.8195 1
S18 S 0.6667 0.3333 0.9861 1
```